No. 1
Density functional theory data (r2SCAN) for crystalline Ba3Ta2S8 at its relaxed geometry.

Geometry as POSCAR:
```
Ba3Ta2S8
1.0
6.932 0.000 0.000
0.000 12.099 0.003
0.000 4.174 12.025
Ba Ta S
9 6 24
direct
0.000 0.500 0.000 Ba
0.000 0.954 0.691 Ba
0.000 0.046 0.309 Ba
0.500 0.721 0.343 Ba
0.500 0.279 0.657 Ba
0.000 0.595 0.635 Ba
0.500 0.182 0.037 Ba
0.500 0.818 0.963 Ba
0.000 0.405 0.365 Ba
0.000 0.000 0.000 Ta
0.500 0.000 0.500 Ta
0.000 0.730 0.172 Ta
0.000 0.270 0.828 Ta
0.500 0.733 0.676 Ta
0.500 0.267 0.324 Ta
0.751 0.688 0.801 S
0.751 0.312 0.199 S
0.249 0.312 0.199 S
0.249 0.688 0.801 S
0.745 0.616 0.154 S
0.745 0.384 0.846 S
0.255 0.384 0.846 S
0.255 0.616 0.154 S
0.743 0.848 0.516 S
0.743 0.152 0.484 S
0.257 0.152 0.484 S
0.257 0.848 0.516 S
0.760 0.908 0.145 S
0.760 0.092 0.855 S
0.240 0.092 0.855 S
0.500 0.943 0.700 S
0.500 0.057 0.300 S
0.000 0.677 0.367 S
0.000 0.323 0.633 S
0.500 0.578 0.605 S
0.500 0.422 0.395 S
0.000 0.822 0.955 S
0.000 0.178 0.045 S
0.240 0.908 0.145 S
```

- space group = P2/m

No. 2
Density functional theory data (r2SCAN) for crystalline PdSe2 at its relaxed geometry.

Geometry as POSCAR:
```
PdSe2
1.0
5.755 0.000 0.000
0.000 5.901 0.000
0.000 0.000 8.130
Pd Se
4 8
direct
0.500 0.000 0.500 Pd
0.000 0.500 0.500 Pd
0.500 0.500 0.000 Pd
0.000 0.000 0.000 Pd
0.611 0.119 0.090 Se
0.111 0.381 0.910 Se
0.389 0.619 0.410 Se
0.889 0.881 0.590 Se
0.111 0.119 0.410 Se
0.611 0.381 0.590 Se
0.889 0.619 0.090 Se
0.389 0.881 0.910 Se
```

- space group = Pbca

| no. | calculated total energy (eV for the cell shown) |
| --- | --- |
| 1 | -791.6 |
| 2 | -210.2 |